# 1
{"formula": "Ba3Sb2O6", "functional": "r2SCAN", "state": "relaxed", "lattice": [[-5.430, 2.145, 2.061], [-0.803, -9.751, -1.098], [4.913, 1.563, 11.067]], "species": ["Sb", "O", "O", "O", "O", "O", "O", "Ba", "Ba", "O", "Sb", "Ba", "Sb", "Ba", "Ba", "O", "Sb", "Sb", "O", "Ba", "O", "O", "O", "Ba", "O", "O", "O", "O", "O", "Ba", "Sb", "Ba", "O"], "fractional_positions": [[0.316, 0.664, 0.493], [0.566, 0.581, 0.842], [0.390, 0.679, 0.651], [0.010, 0.567, 0.824], [0.793, 0.047, 0.153], [0.626, 0.293, 0.846], [0.207, 0.953, 0.847], [0.149, 0.275, 0.288], [0.000, 0.000, 0.500], [0.265, 0.039, 0.139], [0.684, 0.336, 0.507], [0.390, 0.790, 0.941], [0.237, 0.494, 0.082], [0.610, 0.210, 0.059], [0.513, 0.033, 0.700], [0.374, 0.707, 0.154], [0.955, 0.901, 0.122], [0.763, 0.506, 0.918], [0.562, 0.837, 0.479], [0.851, 0.725, 0.712], [0.990, 0.433, 0.176], [0.434, 0.419, 0.158], [0.735, 0.961, 0.861], [0.219, 0.397, 0.705], [0.610, 0.321, 0.349], [0.438, 0.163, 0.521], [0.972, 0.890, 0.279], [0.028, 0.110, 0.721], [0.067, 0.749, 0.512], [0.487, 0.967, 0.300], [0.045, 0.099, 0.878], [0.781, 0.603, 0.295], [0.933, 0.251, 0.488]], "spacegroup": "No. 2"}

***

# 2
{"formula": "BaSc2O4", "functional": "r2SCAN", "state": "relaxed", "lattice": [[-4.867, -2.076, 2.215], [-1.976, -5.044, -1.886], [10.775, -9.725, 14.633]], "species": ["Ba", "O", "Sc", "Sc", "O", "Sc", "O", "O", "O", "Sc", "Sc", "O", "Sc", "O", "O", "Ba", "O", "O", "Sc", "O", "O", "O", "O", "Sc", "O", "O", "O", "Ba", "Sc", "Ba", "O", "O", "O", "O", "Sc", "Sc", "O", "Sc", "Ba", "Ba", "O", "O"], "fractional_positions": [[0.393, 0.607, 0.750], [0.600, 0.705, 0.004], [0.277, 0.059, 0.195], [0.614, 0.381, 0.430], [0.705, 0.600, 0.504], [0.619, 0.386, 0.070], [0.000, 0.000, 0.000], [0.965, 0.247, 0.119], [0.396, 0.128, 0.749], [0.042, 0.285, 0.553], [0.381, 0.614, 0.930], [0.923, 0.077, 0.750], [0.723, 0.941, 0.805], [0.247, 0.965, 0.619], [0.816, 0.524, 0.376], [0.725, 0.944, 0.637], [0.524, 0.816, 0.876], [0.077, 0.923, 0.250], [0.958, 0.715, 0.447], [0.128, 0.396, 0.249], [0.729, 0.409, 0.624], [0.271, 0.591, 0.376], [0.400, 0.295, 0.996], [0.386, 0.619, 0.570], [0.476, 0.184, 0.124], [0.184, 0.476, 0.624], [0.000, 0.000, 0.500], [0.275, 0.056, 0.363], [0.941, 0.723, 0.305], [0.056, 0.275, 0.863], [0.872, 0.604, 0.751], [0.753, 0.035, 0.381], [0.035, 0.753, 0.881], [0.409, 0.729, 0.124], [0.059, 0.277, 0.695], [0.285, 0.042, 0.053], [0.295, 0.400, 0.496], [0.715, 0.958, 0.947], [0.944, 0.725, 0.137], [0.607, 0.393, 0.250], [0.591, 0.271, 0.876], [0.604, 0.872, 0.251]], "spacegroup": "No. 15"}

***

# 3
{"formula": "BaSc2Si3O10", "functional": "r2SCAN", "state": "relaxed", "lattice": [[11.968, 0.000, 0.000], [0.000, 5.291, 0.014], [0.000, 1.939, 6.323]], "species": ["O", "Ba", "Sc", "O", "O", "Si", "O", "O", "O", "O", "O", "O", "O", "Si", "O", "O", "O", "Ba", "Si", "O", "Si", "Si", "O", "Sc", "Sc", "O", "Si", "O", "O", "Sc", "O", "O"], "fractional_positions": [[0.457, 0.898, 0.357], [0.250, 0.240, 0.025], [0.898, 0.151, 0.323], [0.642, 0.540, 0.669], [0.543, 0.102, 0.643], [0.446, 0.697, 0.210], [0.142, 0.460, 0.331], [0.439, 0.457, 0.800], [0.750, 0.876, 0.363], [0.561, 0.543, 0.200], [0.043, 0.898, 0.357], [0.858, 0.540, 0.669], [0.111, 0.851, 0.986], [0.946, 0.303, 0.790], [0.250, 0.124, 0.637], [0.358, 0.460, 0.331], [0.061, 0.457, 0.800], [0.750, 0.760, 0.975], [0.250, 0.428, 0.487], [0.939, 0.543, 0.200], [0.750, 0.572, 0.513], [0.054, 0.697, 0.210], [0.611, 0.149, 0.014], [0.398, 0.849, 0.677], [0.602, 0.151, 0.323], [0.750, 0.346, 0.394], [0.554, 0.303, 0.790], [0.957, 0.102, 0.643], [0.389, 0.851, 0.986], [0.102, 0.849, 0.677], [0.250, 0.654, 0.606], [0.889, 0.149, 0.014]], "spacegroup": "No. 11"}

***

These records have E_tot values of -17.53, -14.03, -11.85 eV per atom, in the order they appear.